A relaxed structure of KO, computed with PBE.

## Properties
- symmetry = P-62m, No. 189
- calculated formation energy (meV/atom) = -1272
- density (g/cm³) = 2.425

Cell: 7.144 7.144 5.123 Å, 90.00 90.00 120.00°
Positions (direct):
K  0.000  0.706  0.500
K  0.294  0.294  0.500
K  0.706  0.000  0.500
K  0.000  0.368  0.000
K  0.632  0.632  0.000
K  0.368  0.000  0.000
O  0.667  0.333  0.349
O  0.667  0.333  0.651
O  0.333  0.667  0.651
O  0.333  0.667  0.349
O  0.000  0.000  0.851
O  0.000  0.000  0.149